[1]
A plane-wave DFT calculation with PBE was carried out for a geometry-optimized K12Sn4Au21 structure.

Properties
DFT formation energy	-0.346	eV/atom
M_tot	0.1	μB/f.u.
E_tot	-2.998	eV/atom
calculated volume	2050.9	Å³/cell

Cell: 12.846 18.669 8.552 Å, 90.00 90.00 90.00°
Atoms (fractional coordinates):
K: 0.002 0.250 0.172
K: 0.008 0.081 0.896
K: 0.008 0.419 0.896
K: 0.250 0.074 0.674
K: 0.250 0.250 0.460
K: 0.250 0.426 0.674
K: 0.250 0.588 0.379
K: 0.250 0.750 0.612
K: 0.250 0.912 0.379
K: 0.492 0.081 0.896
K: 0.492 0.419 0.896
K: 0.498 0.250 0.172
K: 0.502 0.750 0.828
K: 0.508 0.581 0.104
K: 0.508 0.919 0.104
K: 0.750 0.088 0.621
K: 0.750 0.250 0.388
K: 0.750 0.412 0.621
K: 0.750 0.574 0.326
K: 0.750 0.750 0.540
K: 0.750 0.926 0.326
K: 0.992 0.581 0.104
K: 0.992 0.919 0.104
K: 0.998 0.750 0.828
Sn: 0.057 0.750 0.258
Sn: 0.250 0.616 0.932
Sn: 0.250 0.884 0.932
Sn: 0.443 0.750 0.258
Sn: 0.557 0.250 0.742
Sn: 0.750 0.116 0.068
Sn: 0.750 0.384 0.068
Sn: 0.943 0.250 0.742
Au: 0.000 0.000 0.500
Au: 0.000 0.500 0.500
Au: 0.001 0.151 0.528
Au: 0.001 0.349 0.528
Au: 0.092 0.586 0.735
Au: 0.092 0.914 0.735
Au: 0.135 0.084 0.307
Au: 0.135 0.416 0.307
Au: 0.141 0.250 0.851
Au: 0.250 0.015 0.068
Au: 0.250 0.167 0.080
Au: 0.250 0.333 0.080
Au: 0.250 0.485 0.068
Au: 0.250 0.750 0.102
Au: 0.359 0.250 0.851
Au: 0.365 0.084 0.307
Au: 0.365 0.416 0.307
Au: 0.408 0.586 0.735
Au: 0.408 0.914 0.735
Au: 0.499 0.151 0.528
Au: 0.499 0.349 0.528
Au: 0.500 0.000 0.500
Au: 0.500 0.500 0.500
Au: 0.501 0.651 0.472
Au: 0.501 0.849 0.472
Au: 0.592 0.086 0.265
Au: 0.592 0.414 0.265
Au: 0.635 0.584 0.693
Au: 0.635 0.916 0.693
Au: 0.641 0.750 0.149
Au: 0.750 0.250 0.898
Au: 0.750 0.515 0.932
Au: 0.750 0.667 0.920
Au: 0.750 0.833 0.920
Au: 0.750 0.985 0.932
Au: 0.859 0.750 0.149
Au: 0.865 0.584 0.693
Au: 0.865 0.916 0.693
Au: 0.908 0.086 0.265
Au: 0.908 0.414 0.265
Au: 0.999 0.651 0.472
Au: 0.999 0.849 0.472

[2]
A plane-wave DFT calculation with PBE was carried out for a geometry-optimized KSn6Au4 structure.

Properties
DFT formation energy	-0.238	eV/atom
E_tot	-3.717	eV/atom
calculated volume	565.2	Å³/cell

Cell: 13.396 13.149 6.793 Å, 77.19 73.17 29.64°
Atoms (fractional coordinates):
K: 0.125 0.125 0.125
K: 0.875 0.875 0.875
Sn: 0.010 0.508 0.743
Sn: 0.229 0.521 0.229
Sn: 0.238 0.743 0.508
Sn: 0.257 0.762 0.990
Sn: 0.479 0.771 0.479
Sn: 0.492 0.990 0.762
Sn: 0.508 0.010 0.238
Sn: 0.521 0.229 0.521
Sn: 0.743 0.238 0.010
Sn: 0.762 0.257 0.492
Sn: 0.771 0.479 0.771
Sn: 0.990 0.492 0.257
Au: 0.068 0.068 0.682
Au: 0.187 0.187 0.563
Au: 0.318 0.318 0.932
Au: 0.437 0.437 0.813
Au: 0.563 0.563 0.187
Au: 0.682 0.682 0.068
Au: 0.813 0.813 0.437
Au: 0.932 0.932 0.318

[3]
A plane-wave DFT calculation with PBE was carried out for a geometry-optimized LaAu structure.

Properties
DFT formation energy	-0.820	eV/atom
E_tot	-4.925	eV/atom
calculated volume	224.0	Å³/cell

Cell: 7.592 4.896 6.027 Å, 90.00 90.00 90.00°
Atoms (fractional coordinates):
La: 0.184 0.250 0.146
La: 0.316 0.750 0.646
La: 0.684 0.250 0.354
La: 0.816 0.750 0.854
Au: 0.041 0.250 0.652
Au: 0.459 0.750 0.152
Au: 0.541 0.250 0.848
Au: 0.959 0.750 0.348

[4]
A plane-wave DFT calculation with PBE was carried out for a geometry-optimized LaAu2 structure.

Properties
DFT formation energy	-0.806	eV/atom
E_tot	-4.634	eV/atom
calculated volume	146.8	Å³/cell

Cell: 6.057 6.057 6.057 Å, 133.59 105.04 92.92°
Atoms (fractional coordinates):
La: 0.284 0.034 0.250
La: 0.716 0.966 0.750
Au: 0.126 0.664 0.462
Au: 0.298 0.336 0.962
Au: 0.702 0.664 0.038
Au: 0.874 0.336 0.538

[5]
A plane-wave DFT calculation with PBE was carried out for a geometry-optimized La2Au structure.

Properties
DFT formation energy	-0.554	eV/atom
E_tot	-4.936	eV/atom
calculated volume	369.8	Å³/cell

Cell: 7.464 5.139 9.641 Å, 90.00 90.00 90.00°
Atoms (fractional coordinates):
La: 0.009 0.250 0.176
La: 0.157 0.250 0.579
La: 0.343 0.750 0.079
La: 0.491 0.750 0.676
La: 0.509 0.250 0.324
La: 0.657 0.250 0.921
La: 0.843 0.750 0.421
La: 0.991 0.750 0.824
Au: 0.246 0.250 0.894
Au: 0.254 0.750 0.394
Au: 0.746 0.250 0.606
Au: 0.754 0.750 0.106

[6]
A plane-wave DFT calculation with PBE was carried out for a geometry-optimized LaAu structure.

Properties
DFT formation energy	-0.824	eV/atom
E_tot	-4.929	eV/atom
calculated volume	112.8	Å³/cell

Cell: 6.140 6.140 4.865 Å, 90.00 90.00 142.05°
Atoms (fractional coordinates):
La: 0.136 0.864 0.750
La: 0.864 0.136 0.250
Au: 0.414 0.586 0.750
Au: 0.586 0.414 0.250

[7]
A plane-wave DFT calculation with PBE was carried out for a geometry-optimized LiLa4AuO8 structure.

Properties
DFT formation energy	-3.152	eV/atom
M_tot	0.0	μB/f.u.
E_tot	-7.368	eV/atom
calculated volume	209.8	Å³/cell

Cell: 6.900 6.900 5.788 Å, 90.00 90.00 130.41°
Atoms (fractional coordinates):
Li: 0.000 0.000 0.000
La: 0.150 0.850 0.500
La: 0.350 0.650 0.000
La: 0.650 0.350 0.000
La: 0.850 0.150 0.500
Au: 0.500 0.500 0.500
O: 0.000 0.500 0.249
O: 0.000 0.500 0.751
O: 0.251 0.251 0.251
O: 0.251 0.251 0.749
O: 0.500 0.000 0.249
O: 0.500 0.000 0.751
O: 0.749 0.749 0.251
O: 0.749 0.749 0.749

[8]
A plane-wave DFT calculation with PBE was carried out for a geometry-optimized LaAuO2 structure.

Properties
DFT formation energy	-2.563	eV/atom
E_tot	-6.746	eV/atom
calculated volume	79.1	Å³/cell

Cell: 6.422 6.422 6.422 Å, 35.32 35.32 35.32°
Atoms (fractional coordinates):
La: 0.000 0.000 0.000
Au: 0.500 0.500 0.500
O: 0.387 0.387 0.387
O: 0.613 0.613 0.613

[9]
A plane-wave DFT calculation with PBE was carried out for a geometry-optimized La4Au2O9 structure.

Properties
DFT formation energy	-2.841	eV/atom
E_tot	-7.151	eV/atom
calculated volume	949.7	Å³/cell

Cell: 12.206 6.379 12.197 Å, 90.00 90.00 90.00°
Atoms (fractional coordinates):
La: 0.010 0.243 0.089
La: 0.010 0.757 0.589
La: 0.160 0.197 0.763
La: 0.160 0.803 0.263
La: 0.340 0.303 0.263
La: 0.340 0.697 0.763
La: 0.490 0.257 0.589
La: 0.490 0.743 0.089
La: 0.510 0.257 0.911
La: 0.510 0.743 0.411
La: 0.660 0.303 0.237
La: 0.660 0.697 0.737
La: 0.840 0.197 0.737
La: 0.840 0.803 0.237
La: 0.990 0.243 0.411
La: 0.990 0.757 0.911
Au: 0.230 0.422 0.511
Au: 0.230 0.578 0.011
Au: 0.270 0.078 0.011
Au: 0.270 0.922 0.511
Au: 0.730 0.078 0.489
Au: 0.730 0.922 0.989
Au: 0.770 0.422 0.989
Au: 0.770 0.578 0.489
O: 0.000 0.023 0.250
O: 0.000 0.977 0.750
O: 0.080 0.393 0.586
O: 0.080 0.607 0.086
O: 0.116 0.058 0.947
O: 0.116 0.942 0.447
O: 0.165 0.444 0.354
O: 0.165 0.556 0.854
O: 0.198 0.121 0.158
O: 0.198 0.879 0.658
O: 0.302 0.379 0.658
O: 0.302 0.621 0.158
O: 0.335 0.056 0.854
O: 0.335 0.944 0.354
O: 0.384 0.442 0.447
O: 0.384 0.558 0.947
O: 0.420 0.107 0.086
O: 0.420 0.893 0.586
O: 0.500 0.477 0.750
O: 0.500 0.523 0.250
O: 0.580 0.107 0.414
O: 0.580 0.893 0.914
O: 0.616 0.442 0.053
O: 0.616 0.558 0.553
O: 0.665 0.056 0.646
O: 0.665 0.944 0.146
O: 0.698 0.379 0.842
O: 0.698 0.621 0.342
O: 0.802 0.121 0.342
O: 0.802 0.879 0.842
O: 0.835 0.444 0.146
O: 0.835 0.556 0.646
O: 0.884 0.058 0.553
O: 0.884 0.942 0.053
O: 0.920 0.393 0.914
O: 0.920 0.607 0.414

[10]
A plane-wave DFT calculation with PBE was carried out for a geometry-optimized LaAuO2 structure.

Properties
DFT formation energy	-2.563	eV/atom
E_tot	-6.746	eV/atom
calculated volume	158.9	Å³/cell

Cell: 3.902 3.902 12.052 Å, 90.00 90.00 120.00°
Atoms (fractional coordinates):
La: 0.000 0.000 0.000
La: 0.000 0.000 0.500
Au: 0.333 0.667 0.250
Au: 0.667 0.333 0.750
O: 0.333 0.667 0.081
O: 0.333 0.667 0.419
O: 0.667 0.333 0.581
O: 0.667 0.333 0.919

[11]
A plane-wave DFT calculation with PBE was carried out for a geometry-optimized LaPbAu structure.

Properties
DFT formation energy	-0.640	eV/atom
E_tot	-4.615	eV/atom
calculated volume	168.1	Å³/cell

Cell: 4.907 4.907 8.060 Å, 90.00 90.00 120.00°
Atoms (fractional coordinates):
La: 0.000 0.000 0.000
La: 0.000 0.000 0.500
Pb: 0.333 0.667 0.250
Pb: 0.667 0.333 0.750
Au: 0.333 0.667 0.750
Au: 0.667 0.333 0.250

[12]
A plane-wave DFT calculation with PBE was carried out for a geometry-optimized La2RuAu structure.

Properties
DFT formation energy	-0.451	eV/atom
M_tot	0.0	μB/f.u.
E_tot	-6.056	eV/atom
calculated volume	99.1	Å³/cell

Cell: 5.195 5.195 5.195 Å, 60.00 60.00 60.00°
Atoms (fractional coordinates):
La: 0.250 0.250 0.250
La: 0.750 0.750 0.750
Ru: 0.000 0.000 0.000
Au: 0.500 0.500 0.500

[13]
A plane-wave DFT calculation with PBE was carried out for a geometry-optimized La3Sb4Au3 structure.

Properties
DFT formation energy	-0.959	eV/atom
E_tot	-5.074	eV/atom
calculated volume	538.4	Å³/cell
largest piezoelectric modulus	0.32	C/m²

Cell: 8.877 8.877 8.877 Å, 109.47 109.47 109.47°
Atoms (fractional coordinates):
La: 0.125 0.875 0.250
La: 0.250 0.125 0.875
La: 0.375 0.625 0.750
La: 0.625 0.750 0.375
La: 0.750 0.375 0.625
La: 0.875 0.250 0.125
Sb: 0.000 0.172 0.500
Sb: 0.000 0.672 0.500
Sb: 0.172 0.500 0.000
Sb: 0.328 0.328 0.328
Sb: 0.500 0.000 0.172
Sb: 0.500 0.000 0.672
Sb: 0.672 0.500 0.000
Sb: 0.828 0.828 0.828
Au: 0.125 0.750 0.875
Au: 0.250 0.625 0.375
Au: 0.375 0.250 0.625
Au: 0.625 0.375 0.250
Au: 0.750 0.875 0.125
Au: 0.875 0.125 0.750

[14]
A plane-wave DFT calculation with PBE was carried out for a geometry-optimized LiAu3 structure.

Properties
DFT formation energy	-0.354	eV/atom
E_tot	-3.287	eV/atom
calculated volume	68.2	Å³/cell

Cell: 5.090 5.090 5.090 Å, 133.50 133.50 67.87°
Atoms (fractional coordinates):
Li: 0.000 0.000 0.000
Au: 0.250 0.750 0.500
Au: 0.500 0.500 0.000
Au: 0.750 0.250 0.500

[15]
A plane-wave DFT calculation with PBE was carried out for a geometry-optimized LiAu3 structure.

Properties
DFT formation energy	-0.350	eV/atom
E_tot	-3.283	eV/atom
calculated volume	136.3	Å³/cell

Cell: 5.678 5.678 4.882 Å, 90.00 90.00 120.00°
Atoms (fractional coordinates):
Li: 0.333 0.667 0.250
Li: 0.667 0.333 0.750
Au: 0.169 0.337 0.750
Au: 0.169 0.831 0.750
Au: 0.337 0.169 0.250
Au: 0.663 0.831 0.750
Au: 0.831 0.169 0.250
Au: 0.831 0.663 0.250

[16]
A plane-wave DFT calculation with PBE was carried out for a geometry-optimized Li15Au4 structure.

Properties
DFT formation energy	-0.353	eV/atom
E_tot	-2.549	eV/atom
calculated volume	634.4	Å³/cell

Cell: 9.375 9.375 9.375 Å, 109.47 109.47 109.47°
Atoms (fractional coordinates):
Li: 0.040 0.920 0.696
Li: 0.080 0.276 0.120
Li: 0.120 0.080 0.276
Li: 0.125 0.750 0.875
Li: 0.156 0.880 0.460
Li: 0.196 0.420 0.540
Li: 0.224 0.304 0.844
Li: 0.250 0.625 0.375
Li: 0.276 0.120 0.080
Li: 0.304 0.844 0.224
Li: 0.344 0.804 0.724
Li: 0.375 0.250 0.625
Li: 0.380 0.656 0.960
Li: 0.420 0.540 0.196
Li: 0.460 0.156 0.880
Li: 0.540 0.196 0.420
Li: 0.580 0.620 0.776
Li: 0.620 0.776 0.580
Li: 0.625 0.375 0.250
Li: 0.656 0.960 0.380
Li: 0.696 0.040 0.920
Li: 0.724 0.344 0.804
Li: 0.750 0.875 0.125
Li: 0.776 0.580 0.620
Li: 0.804 0.724 0.344
Li: 0.844 0.224 0.304
Li: 0.875 0.125 0.750
Li: 0.880 0.460 0.156
Li: 0.920 0.696 0.040
Li: 0.960 0.380 0.656
Au: 0.000 0.087 0.500
Au: 0.000 0.587 0.500
Au: 0.087 0.500 0.000
Au: 0.413 0.413 0.413
Au: 0.500 0.000 0.087
Au: 0.500 0.000 0.587
Au: 0.587 0.500 0.000
Au: 0.913 0.913 0.913

[17]
A plane-wave DFT calculation with PBE was carried out for a geometry-optimized LiAu3 structure.

Properties
DFT formation energy	-0.364	eV/atom
E_tot	-3.297	eV/atom
calculated volume	67.6	Å³/cell

Cell: 4.074 4.074 4.074 Å, 90.00 90.00 90.00°
Atoms (fractional coordinates):
Li: 0.000 0.000 0.000
Au: 0.000 0.500 0.500
Au: 0.500 0.000 0.500
Au: 0.500 0.500 0.000